# 1
# Tb2S2F | the Materials Project | GGA-PBE | relaxed
data_Tb2S2F
_chemical_formula_sum 'Tb2 S2 F1'
_cell_length_a 3.211
_cell_length_b 3.211
_cell_length_c 13.899
_cell_angle_alpha 90.00
_cell_angle_beta 90.00
_cell_angle_gamma 90.00
_symmetry_space_group_name_H-M 'P 4/m m m'
_symmetry_Int_Tables_number 123
_symmetry_space_group_name_Hall '-P 4 2'
loop_
_atom_site_label
_atom_site_type_symbol
_atom_site_fract_x
_atom_site_fract_y
_atom_site_fract_z
Tb1 Tb 0.000 0.000 0.162
S1 S 0.000 0.000 0.345
F1 F 0.000 0.000 0.000
# formation energy from the elements = -0.911 eV/atom

---

# 2
# Y2S2F | the Materials Project | GGA-PBE | relaxed
data_Y2S2F
_chemical_formula_sum 'Y2 S2 F1'
_cell_length_a 3.780
_cell_length_b 3.780
_cell_length_c 11.172
_cell_angle_alpha 90.00
_cell_angle_beta 90.00
_cell_angle_gamma 90.00
_symmetry_space_group_name_H-M 'P 4/m m m'
_symmetry_Int_Tables_number 123
_symmetry_space_group_name_Hall '-P 4 2'
loop_
_atom_site_label
_atom_site_type_symbol
_atom_site_fract_x
_atom_site_fract_y
_atom_site_fract_z
Y1 Y 0.000 0.000 0.194
S1 S 0.000 0.000 0.412
F1 F 0.000 0.000 0.000
# formation energy from the elements = -1.138 eV/atom

---

# 3
# SbF6 | the Materials Project | GGA-PBE | relaxed
data_SbF6
_chemical_formula_sum 'Sb8 F48'
_cell_length_a 7.643
_cell_length_b 10.387
_cell_length_c 12.736
_cell_angle_alpha 90.00
_cell_angle_beta 90.00
_cell_angle_gamma 90.00
_symmetry_space_group_name_H-M 'P 21 21 21'
_symmetry_Int_Tables_number 19
_symmetry_space_group_name_Hall 'P 2ac 2ab'
loop_
_atom_site_label
_atom_site_type_symbol
_atom_site_fract_x
_atom_site_fract_y
_atom_site_fract_z
Sb1 Sb 0.082 0.084 0.087
Sb2 Sb 0.114 0.720 0.786
F1 F 0.030 0.597 0.896
F2 F 0.049 0.644 0.296
F3 F 0.052 0.347 0.676
F4 F 0.055 0.144 0.803
F5 F 0.059 0.250 0.025
F6 F 0.086 0.597 0.045
F7 F 0.110 0.510 0.485
F8 F 0.141 0.929 0.158
F9 F 0.197 0.838 0.669
F10 F 0.218 0.400 0.239
F11 F 0.222 0.204 0.379
F12 F 0.249 0.955 0.481
# formation energy from the elements = -2.188 eV/atom

---

# 4
# Sb2F7 | the Materials Project | GGA-PBE | relaxed
data_Sb2F7
_chemical_formula_sum 'Sb8 F28'
_cell_length_a 4.916
_cell_length_b 11.065
_cell_length_c 11.041
_cell_angle_alpha 90.00
_cell_angle_beta 95.47
_cell_angle_gamma 90.00
_symmetry_space_group_name_H-M 'P 1 21/m 1'
_symmetry_Int_Tables_number 11
_symmetry_space_group_name_Hall '-P 2yb'
loop_
_atom_site_label
_atom_site_type_symbol
_atom_site_fract_x
_atom_site_fract_y
_atom_site_fract_z
Sb1 Sb 0.067 0.250 0.476
Sb2 Sb 0.296 0.561 0.232
Sb3 Sb 0.394 0.750 0.923
F1 F 0.089 0.019 0.786
F2 F 0.144 0.627 0.451
F3 F 0.181 0.750 0.223
F4 F 0.186 0.750 0.667
F5 F 0.270 0.590 0.051
F6 F 0.276 0.125 0.407
F7 F 0.318 0.250 0.945
F8 F 0.320 0.250 0.620
F9 F 0.365 0.125 0.156
# formation energy from the elements = -2.679 eV/atom

---

# 5
# SbF3 | the Materials Project | GGA-PBE | relaxed
data_SbF3
_chemical_formula_sum 'Sb4 F12'
_cell_length_a 7.116
_cell_length_b 7.689
_cell_length_c 5.125
_cell_angle_alpha 90.00
_cell_angle_beta 90.00
_cell_angle_gamma 90.00
_symmetry_space_group_name_H-M 'A m a 2'
_symmetry_Int_Tables_number 40
_symmetry_space_group_name_Hall 'A 2 -2a'
loop_
_atom_site_label
_atom_site_type_symbol
_atom_site_fract_x
_atom_site_fract_y
_atom_site_fract_z
Sb1 Sb 0.250 0.218 0.000
F1 F 0.062 0.303 0.260
F2 F 0.250 0.453 0.844
# maximum piezoelectric response = 1.509 C/m²
# formation energy from the elements = -2.685 eV/atom

---

# 6
# SbSe5F6 | the Materials Project | GGA-PBE | relaxed
data_SbSe5F6
_chemical_formula_sum 'Sb16 Se80 F96'
_cell_length_a 20.348
_cell_length_b 16.681
_cell_length_c 14.455
_cell_angle_alpha 90.00
_cell_angle_beta 109.85
_cell_angle_gamma 90.00
_symmetry_space_group_name_H-M 'P 1 21/c 1'
_symmetry_Int_Tables_number 14
_symmetry_space_group_name_Hall '-P 2ybc'
loop_
_atom_site_label
_atom_site_type_symbol
_atom_site_fract_x
_atom_site_fract_y
_atom_site_fract_z
Sb1 Sb 0.033 0.186 0.484
Sb2 Sb 0.148 0.594 0.034
Sb3 Sb 0.366 0.094 0.664
Sb4 Sb 0.371 0.069 0.108
Se1 Se 0.008 0.597 0.196
Se2 Se 0.024 0.174 0.897
Se3 Se 0.048 0.721 0.267
Se4 Se 0.065 0.242 0.171
Se5 Se 0.076 0.070 0.188
Se6 Se 0.095 0.114 0.725
Se7 Se 0.156 0.234 0.964
Se8 Se 0.194 0.150 0.854
Se9 Se 0.200 0.120 0.356
Se10 Se 0.237 0.203 0.265
Se11 Se 0.268 0.685 0.738
Se12 Se 0.292 0.598 0.868
Se13 Se 0.293 0.666 0.372
Se14 Se 0.341 0.725 0.538
Se15 Se 0.399 0.618 0.360
Se16 Se 0.414 0.565 0.901
Se17 Se 0.449 0.665 0.600
Se18 Se 0.460 0.735 0.359
Se19 Se 0.462 0.612 0.057
Se20 Se 0.482 0.244 0.463
F1 F 0.003 0.533 0.403
F2 F 0.054 0.551 0.980
F3 F 0.069 0.639 0.647
F4 F 0.099 0.682 0.388
F5 F 0.100 0.690 0.061
F6 F 0.123 0.063 0.102
F7 F 0.138 0.638 0.907
F8 F 0.157 0.555 0.162
F9 F 0.182 0.005 0.500
F10 F 0.224 0.619 0.635
F11 F 0.237 0.645 0.088
F12 F 0.287 0.164 0.614
F13 F 0.288 0.090 0.138
F14 F 0.319 0.010 0.993
F15 F 0.319 0.036 0.737
F16 F 0.325 0.223 0.343
F17 F 0.331 0.023 0.552
F18 F 0.356 0.165 0.031
F19 F 0.386 0.530 0.684
F20 F 0.406 0.164 0.774
F21 F 0.416 0.152 0.592
F22 F 0.425 0.126 0.226
F23 F 0.446 0.024 0.715
F24 F 0.456 0.049 0.080
# formation energy from the elements = -1.440 eV/atom